(1)
Density functional theory data (PBE-GGA) for a relaxed structure of LiMg14Cu.

Geometry as POSCAR:
```
LiMg14Cu
1.0
-1.722 -5.065 -3.389
5.964 0.555 2.057
-2.434 -4.752 8.341
Mg Cu Li
14 1 1
Direct
0.164 0.832 0.125
0.666 0.332 0.625
0.328 0.657 0.881
0.666 0.834 0.625
0.833 0.667 0.873
0.833 0.667 0.377
0.328 0.657 0.369
0.328 0.172 0.881
0.668 0.832 0.125
0.668 0.336 0.125
0.843 0.172 0.369
0.328 0.172 0.369
0.168 0.834 0.625
0.843 0.172 0.881
0.167 0.333 0.125
0.167 0.333 0.625
```

Output
- spin magnetization (μB per atom) = 0.00



(2)
Density functional theory data (PBE-GGA) for a relaxed structure of LiMg6Cu.

Geometry as POSCAR:
```
LiMg6Cu
1.0
-3.106 3.890 -0.043
-3.858 -3.121 -3.591
-4.921 -3.833 8.618
Mg Li Cu
12 2 2
Direct
0.000 0.000 0.333
0.500 0.241 0.912
0.500 0.000 0.167
0.000 0.747 0.086
0.500 0.759 0.912
0.000 0.247 0.586
0.500 0.259 0.412
0.500 0.741 0.412
0.000 0.500 0.833
0.000 0.253 0.086
0.000 0.753 0.586
0.500 0.500 0.667
0.500 0.500 0.170
0.500 0.000 0.670
0.000 0.000 0.835
0.000 0.500 0.335
```

Output
- excess energy over the best structure of this formula in the dataset (meV per atom) = 3
- spin magnetization (μB per atom) = 0.00



(3)
Density functional theory data (PBE-GGA) for a relaxed structure of LiMg6Cu.

Geometry as POSCAR:
```
LiMg6Cu
1.0
4.887 0.000 0.000
0.000 6.230 0.000
0.000 0.000 10.539
Mg Cu Li
12 2 2
Direct
0.500 0.251 0.584
0.500 0.751 0.084
0.500 0.249 0.084
0.000 0.000 0.169
0.000 0.500 0.669
0.000 0.000 0.671
0.000 0.755 0.912
0.500 0.749 0.584
0.000 0.245 0.912
0.000 0.500 0.171
0.000 0.745 0.412
0.000 0.255 0.412
0.500 0.000 0.834
0.500 0.500 0.334
0.500 0.000 0.333
0.500 0.500 0.833
```

Output
- excess energy over the best structure of this formula in the dataset (meV per atom) = 0
- spin magnetization (μB per atom) = 0.00



(4)
Density functional theory data (PBE-GGA) for a relaxed structure of LiMg14Cu.

Geometry as POSCAR:
```
LiMg14Cu
1.0
-1.592 -0.327 6.118
-1.288 -4.856 -3.900
8.802 -4.002 2.076
Mg Cu Li
14 1 1
Direct
0.835 0.668 0.376
0.672 0.339 0.125
0.672 0.832 0.125
0.842 0.171 0.884
0.325 0.168 0.363
0.325 0.168 0.887
0.665 0.332 0.625
0.170 0.835 0.625
0.665 0.834 0.625
0.325 0.657 0.363
0.842 0.171 0.366
0.168 0.334 0.625
0.835 0.668 0.874
0.325 0.657 0.887
0.167 0.333 0.125
0.163 0.832 0.125
```

Output
- spin magnetization (μB per atom) = 0.00



(5)
Density functional theory data (PBE-GGA) for a relaxed structure of Li3CuN2.

Geometry as POSCAR:
```
Li3CuN2
1.0
8.342 0.000 0.000
5.561 7.865 0.000
-5.561 3.932 6.811
N Li Cu
16 24 8
Direct
0.542 0.229 0.021
0.000 0.000 0.000
0.458 0.271 0.479
0.000 0.000 0.500
0.000 0.500 0.000
0.000 0.250 0.729
0.000 0.500 0.500
0.500 0.979 0.750
0.500 0.521 0.250
0.500 0.479 0.750
0.458 0.771 0.979
0.000 0.750 0.271
0.000 0.750 0.771
0.000 0.250 0.229
0.542 0.729 0.521
0.500 0.021 0.250
0.249 0.993 0.487
0.751 0.742 0.013
0.274 0.738 0.520
0.274 0.238 0.755
0.765 0.980 0.007
0.751 0.242 0.738
0.274 0.487 0.020
0.726 0.262 0.480
0.726 0.513 0.980
0.249 0.758 0.262
0.249 0.258 0.987
0.751 0.507 0.238
0.235 0.245 0.493
0.235 0.520 0.242
0.765 0.755 0.507
0.235 0.020 0.993
0.765 0.480 0.758
0.249 0.493 0.762
0.235 0.745 0.742
0.726 0.762 0.245
0.274 0.987 0.255
0.765 0.255 0.258
0.726 0.013 0.745
0.751 0.007 0.513
0.243 0.000 0.743
0.757 0.500 0.500
0.243 0.757 0.000
0.757 0.000 0.257
0.757 0.743 0.757
0.243 0.500 0.500
0.757 0.243 0.000
0.243 0.257 0.243
```

Output
- spin magnetization (μB per atom) = 0.00



(6)
Density functional theory data (PBE-GGA) for a relaxed structure of Li7Cu2N3.

Geometry as POSCAR:
```
Li7Cu2N3
1.0
-4.339 2.923 -0.305
-3.859 -3.163 1.602
-0.972 1.470 4.935
Li Cu N
7 2 3
Direct
0.834 0.500 0.166
0.166 0.834 0.500
0.000 0.000 0.000
0.166 0.500 0.834
0.500 0.166 0.834
0.834 0.166 0.500
0.500 0.834 0.166
0.666 0.666 0.666
0.334 0.334 0.334
0.500 0.500 0.500
0.168 0.168 0.168
0.832 0.832 0.832
```



no.,energy relative to the elements (meV/atom),E_tot (eV per atom)
1,11,-1.765
2,13,-1.938
3,10,-1.941
4,10,-1.766
5,-191,-4.487
6,-418,-4.209